{"formula": "RbMg14GaO16", "functional": "PBE", "state": "relaxed", "space_group": "Pmmm, No. 47", "relative_energy_ev_per_atom": 0.000, "e_form_kj_per_mol_fu": -8489, "dft_energy_ev_per_atom": -5.7053, "magmom_total_mub_per_fu": 0.0, "cell": [[8.714, 0.000, 0.000], [0.000, 8.557, 0.000], [0.000, 0.000, 4.482]], "species": ["Mg", "Mg", "Mg", "Mg", "Mg", "Mg", "Mg", "Mg", "Mg", "Mg", "Mg", "Mg", "Mg", "Mg", "O", "O", "O", "O", "O", "O", "O", "O", "O", "O", "O", "O", "O", "O", "O", "O", "Rb", "Ga"], "frac_coords": [[0.745, 0.000, 0.500], [0.500, 0.500, 0.000], [0.500, 0.249, 0.500], [0.252, 0.500, 0.500], [0.742, 0.249, 0.000], [0.255, 0.000, 0.500], [0.500, 0.000, 0.000], [0.258, 0.751, 0.000], [0.500, 0.751, 0.500], [0.000, 0.249, 0.500], [0.000, 0.751, 0.500], [0.258, 0.249, 0.000], [0.742, 0.751, 0.000], [0.748, 0.500, 0.500], [0.000, 0.287, 0.000], [0.000, 0.500, 0.500], [0.500, 0.258, 0.000], [0.249, 0.749, 0.500], [0.249, 0.251, 0.500], [0.280, 0.000, 0.000], [0.250, 0.500, 0.000], [0.000, 0.000, 0.500], [0.500, 0.000, 0.500], [0.751, 0.251, 0.500], [0.750, 0.500, 0.000], [0.000, 0.713, 0.000], [0.720, 0.000, 0.000], [0.751, 0.749, 0.500], [0.500, 0.742, 0.000], [0.500, 0.500, 0.500], [0.000, 0.000, 0.000], [0.000, 0.500, 0.000]]}